Entry 1:
Below is a relaxed GdAl6Fe6 crystal, with properties calculated at the GGA-PBE level.

Geometry as extended XYZ:
```
13
Lattice="0.0000 0.0000 4.9931 -4.2680 4.3221 2.4965 -4.2680 -4.3221 -2.4965" Properties=species:S:1:pos:R:3 pbc="T T T"
Gd 0.0000 0.0000 0.0000
Al -4.2680 -1.3274 2.4965
Al -4.2680 1.3274 2.4965
Al -2.8796 0.0000 0.0000
Al -5.6563 0.0000 0.0000
Al -4.2680 2.6569 4.9931
Al -4.2680 -2.6569 0.0000
Fe -2.1340 -2.1610 1.2483
Fe -2.1340 -2.1610 -1.2483
Fe -2.1340 2.1610 3.7448
Fe -2.1340 2.1610 1.2483
Fe -6.4809 0.0000 2.4965
Fe -2.0550 0.0000 2.4965
```

Values from the calculation:
total energy	-7.1016	eV/atom



Entry 2:
Below is a relaxed CeSe2 crystal, with properties calculated at the GGA-PBE level.

Geometry as extended XYZ:
```
12
Lattice="8.6909 0.0000 0.0000 -0.3549 9.0330 0.0000 -0.0152 -0.1279 9.8903" Properties=species:S:1:pos:R:3 pbc="T T T"
Ce 1.7733 2.1267 0.9921
Ce 7.2078 4.3557 8.3463
Ce 3.8900 6.6713 0.9956
Ce 2.8645 4.3808 5.3286
Se 2.5988 8.8835 0.0507
Se 5.0606 3.6163 6.7881
Se 2.8781 4.2429 9.8346
Se 2.0085 2.3408 3.7052
Se 3.6560 6.4500 3.7083
Se 6.4444 6.5478 0.0802
Se 7.9225 2.3862 0.0731
Se 0.7313 5.1204 6.8923
```

Values from the calculation:
corrected total energy (MP2020 scheme)	-68.63	eV for the cell shown



Entry 3:
Below is a relaxed KYH14C12O18 crystal, with properties calculated at the GGA-PBE level.

Geometry as extended XYZ:
```
184
Lattice="8.3642 0.0000 -0.0702 -0.0145 0.0000 12.1109 4.1821 -18.9715 -0.0351" Properties=species:S:1:pos:R:3 pbc="T T T"
K 4.1712 -16.7117 9.0481
K 8.3606 -2.2598 2.9575
K 4.1712 -2.2816 9.0481
K 8.3606 -16.6899 2.9575
Y 4.1713 -12.3461 9.0481
Y 8.3606 -6.6254 2.9575
Y 4.1713 -6.7092 9.0481
Y 8.3606 -12.2622 2.9575
H 2.0682 -0.0022 10.5771
H 6.2743 -0.0022 7.5192
H 10.4636 -18.9693 1.4286
H 6.2575 -18.9693 4.4865
H 6.2454 -0.0329 10.7071
H 2.0971 -0.0329 7.3891
H 6.2864 -18.9386 1.2986
H 10.4347 -18.9386 4.6165
H 11.0162 -14.3144 10.7489
H 5.6904 -14.3144 7.2771
H 1.5156 -4.6571 1.2567
H 6.8414 -4.6571 4.7285
H 4.1453 -14.2476 11.3741
H 4.1972 -14.2476 6.7221
H 8.3865 -4.7239 0.6315
H 8.3346 -4.7239 5.2835
H 9.7311 -12.6828 7.8184
H 6.9755 -12.6828 10.2077
H 2.8007 -6.2887 4.1873
H 5.5563 -6.2887 1.7980
H 10.3780 -14.1728 7.8887
H 6.3287 -14.1728 10.1373
H 2.1538 -4.7987 4.1169
H 6.2031 -4.7987 1.8684
H 2.7889 -11.2130 11.5449
H 5.5536 -11.2130 6.5513
H 9.7429 -7.7585 0.4608
H 6.9782 -7.7585 5.4543
H 9.8860 -11.6163 10.5901
H 6.8207 -11.6163 7.4359
H 2.6458 -7.3552 1.4156
H 5.7111 -7.3552 4.5697
H 2.5960 -4.7378 7.3142
H 5.7464 -4.7378 10.7820
H 9.9358 -14.2337 4.6914
H 6.7854 -14.2337 1.2236
H 4.0401 -4.8803 6.6570
H 4.3023 -4.8803 11.4392
H 8.4917 -14.0912 5.3486
H 8.2295 -14.0912 0.5664
H 3.8721 -9.3348 10.3725
H 4.4704 -9.3348 7.7237
H 8.6597 -9.6366 1.6331
H 8.0614 -9.6366 4.2819
H 2.4049 -8.6731 10.5385
H 5.9376 -8.6731 7.5577
H 10.1269 -10.2984 1.4671
H 6.5942 -10.2984 4.4480
H 1.4608 -6.3263 10.4088
H 6.8817 -6.3263 7.6874
H 11.0710 -12.6452 1.5969
H 5.6501 -12.6452 4.3182
H 2.0888 -4.8455 10.3721
H 6.2537 -4.8455 7.7241
H 10.4430 -14.1260 1.6335
H 6.2781 -14.1260 4.2816
C 10.4746 -9.9638 7.6374
C 6.2321 -9.9638 10.3887
C 2.0573 -9.0077 4.3683
C 6.2997 -9.0077 1.6170
C 9.0866 -10.4026 7.4561
C 7.6201 -10.4026 10.5699
C 3.4452 -8.5689 4.5495
C 4.9117 -8.5689 1.4357
C 8.6696 -8.9731 7.3510
C 8.0371 -8.9731 10.6750
C 3.8622 -9.9984 4.6546
C 4.4947 -9.9984 1.3307
C 10.0737 -8.5564 7.5879
C 6.6330 -8.5564 10.4381
C 2.4581 -10.4151 4.4177
C 5.8988 -10.4151 1.5676
C 0.3770 -1.2689 10.7121
C 7.9655 -1.2689 7.3841
C 12.1548 -17.7025 1.2936
C 4.5663 -17.7025 4.6215
C 0.9194 -2.6356 10.6916
C 7.4231 -2.6356 7.4046
C 11.6124 -16.3359 1.3141
C 5.1087 -16.3359 4.6010
C 7.9036 -3.1665 10.8215
C 8.8031 -3.1665 7.2045
C 4.6282 -15.8049 1.1841
C 3.7287 -15.8049 4.8012
C 7.3991 -1.7888 10.7429
C 0.9434 -1.7888 7.3534
C 5.1327 -17.1826 1.2628
C 11.5884 -17.1826 4.6523
C 9.2722 -16.3785 7.3879
C 7.4345 -16.3785 10.6382
C 3.2596 -2.5930 4.6178
C 5.0974 -2.5930 1.3675
C 7.8759 -15.8640 7.2048
C 8.8307 -15.8640 10.8212
C 4.6559 -3.1075 4.8008
C 3.7011 -3.1075 1.1844
C 7.4017 -17.2626 7.3037
C 9.3050 -17.2626 10.7223
C 5.1301 -1.7089 4.7019
C 3.2268 -1.7089 1.2834
C 8.7535 -17.7492 7.3904
C 7.9532 -17.7492 10.6356
C 3.7783 -1.2223 4.6152
C 4.5786 -1.2223 1.3700
O 3.2421 -10.5463 7.8473
O 5.1004 -10.5463 10.2489
O 9.2897 -8.4252 4.1583
O 7.4315 -8.4252 1.7567
O 8.5248 -11.5320 7.4492
O 8.1819 -11.5320 10.5768
O 4.0070 -7.4394 4.5565
O 4.3499 -7.4394 1.4288
O 7.5880 -8.3498 7.1658
O 9.1187 -8.3498 10.8602
O 4.9438 -10.6217 4.8398
O 3.4131 -10.6217 1.1454
O 2.2962 -7.4530 7.7926
O 6.0463 -7.4530 10.3037
O 10.2356 -11.5185 4.2131
O 6.4855 -11.5185 1.7020
O 0.8475 -0.0778 10.6134
O 7.4950 -0.0778 7.4828
O 11.6843 -18.8937 1.3923
O 5.0369 -18.8937 4.5228
O 2.0381 -3.1604 10.4989
O 6.3044 -3.1604 7.5973
O 10.4937 -15.8111 1.5068
O 6.2274 -15.8111 4.4083
O 7.4314 -4.3110 10.9881
O 9.2752 -4.3110 7.0380
O 5.1004 -14.6605 1.0176
O 3.2566 -14.6605 4.9677
O 6.2237 -1.2719 10.7058
O 2.1188 -1.2719 7.3904
O 6.3081 -17.6996 1.2999
O 10.4131 -17.6996 4.6152
O 10.3914 -15.8526 7.5648
O 6.3152 -15.8526 10.4612
O 2.1404 -3.1189 4.4408
O 6.2166 -3.1189 1.5445
O 7.3939 -14.7300 7.0439
O 9.3128 -14.7300 10.9821
O 5.1379 -4.2415 4.9617
O 3.2190 -4.2415 1.0235
O 6.2395 -17.8143 7.3564
O 10.4672 -17.8143 10.6696
O 6.2923 -1.1572 4.6492
O 2.0646 -1.1572 1.3360
O 9.2578 -18.9262 7.4978
O 7.4489 -18.9262 10.5283
O 3.2740 -0.0453 4.5079
O 5.0830 -0.0453 1.4774
O 3.6112 -14.2263 10.5472
O 4.7312 -14.2263 7.5490
O 8.9206 -4.7452 1.4584
O 7.8006 -4.7452 4.4566
O 10.5375 -13.2121 8.0989
O 6.1692 -13.2121 9.9272
O 1.9943 -5.7594 3.9068
O 6.3626 -5.7594 2.0785
O 10.8894 -11.5507 10.5881
O 5.8173 -11.5507 7.4380
O 1.6424 -7.4208 1.4176
O 6.7145 -7.4208 4.5677
O 3.5672 -4.8606 7.5193
O 4.7753 -4.8606 10.5769
O 8.9646 -14.1109 4.4864
O 7.7565 -14.1109 1.4287
O 3.3625 -8.4803 10.3583
O 4.9800 -8.4803 7.7379
O 9.1693 -10.4912 1.6473
O 7.5518 -10.4912 4.2678
O 2.2827 -5.8210 10.2511
O 6.0598 -5.8210 7.8451
O 10.2491 -13.1504 1.7545
O 6.4721 -13.1504 4.1606
```

Values from the calculation:
corrected total energy (MP2020 scheme)	-1247.87	eV for the cell shown



Entry 4:
Below is a relaxed Re2Cl5O4 crystal, with properties calculated at the GGA-PBE level.

Geometry as extended XYZ:
```
11
Lattice="5.9808 0.0000 0.0000 -0.3793 6.6858 0.0000 -2.8326 -2.7311 8.3604" Properties=species:S:1:pos:R:3 pbc="T T T"
Re 3.8055 1.7966 3.5981
Re 3.0472 -2.7091 8.3601
Cl 0.3656 5.8944 1.9633
Cl 1.5596 -1.5149 7.0891
Cl 3.8706 5.1120 0.1758
Cl 0.8657 2.0303 0.5257
Cl -1.2617 0.5715 5.2082
O 2.0990 1.8746 3.8220
O 4.4277 3.4006 3.6469
O 4.1532 1.0943 2.0507
O -2.2578 3.3347 7.2088
```

Values from the calculation:
corrected total energy (MP2020 scheme)	-68.31	eV for the cell shown



Entry 5:
Below is a relaxed TiZnBiP3O12 crystal, with properties calculated at the GGA-PBE level.

Geometry as extended XYZ:
```
36
Lattice="8.4310 -0.4397 -0.3067 4.0788 7.3918 -0.3067 4.0788 2.2667 7.0424" Properties=species:S:1:pos:R:3 pbc="T T T"
Ti 2.4790 1.3776 0.9607
Ti 10.7733 5.9870 4.1753
Zn 16.4817 9.1593 6.3876
Zn 8.1873 4.5499 3.1730
Bi 5.5093 3.0617 2.1352
Bi 13.8037 7.6711 5.3497
P 5.3974 4.8668 5.1976
P 6.9831 5.5731 0.0931
P 8.4203 1.1196 2.7707
P 8.2836 8.0361 3.6143
P 9.6129 3.7768 6.2919
P 11.1986 4.3560 1.3698
O 4.1748 4.9188 2.2152
O 5.4134 1.5499 3.8502
O 5.2661 3.7670 6.3010
O 6.3817 2.4062 0.1238
O 6.2450 5.9969 5.7364
O 6.1512 4.3252 3.9513
O 5.9798 6.7707 0.1522
O 6.9213 4.7237 1.3929
O 3.3338 0.8047 2.5931
O 7.6663 2.4762 2.6932
O 7.5296 8.4322 4.9141
O 4.0631 1.3991 -0.1410
O 8.3903 6.1212 0.0224
O 8.9075 0.6621 1.3574
O 8.7708 6.5517 3.6734
O 9.6289 1.3662 3.6450
O 9.4816 4.4321 4.8786
O 10.3667 2.4201 6.2144
O 10.1954 4.8254 2.4731
O 2.4439 3.2649 1.3617
O 10.7382 7.0154 5.8077
O 11.1368 5.2822 0.1234
O 11.6281 7.3209 3.0735
O 12.3574 4.9606 4.5762
```

Values from the calculation:
corrected total energy (MP2020 scheme)	-269.52	eV for the cell shown



Entry 6:
Below is a relaxed SiAg5O4 crystal, with properties calculated at the GGA-PBE level.

Geometry as extended XYZ:
```
40
Lattice="-5.6746 2.8839 0.6282 -2.2885 -5.9561 6.6705 3.9101 6.1965 6.8744" Properties=species:S:1:pos:R:3 pbc="T T T"
Si -2.9285 0.7405 2.7103
Si -1.1245 2.3838 11.4628
Si 1.8138 2.2665 5.9792
Si -0.1922 -2.0262 7.5657
Ag -0.8726 0.7338 5.3659
Ag -0.4015 0.9781 8.4995
Ag 1.7918 5.4964 6.8994
Ag -2.9491 -3.8438 6.9531
Ag -3.1804 2.3904 8.8071
Ag -3.6515 2.1461 5.6735
Ag -5.8447 -2.3722 7.2736
Ag -1.1039 6.9680 7.2200
Ag -0.2594 2.7455 3.2113
Ag -1.2834 -0.8970 10.6839
Ag 1.1826 3.4910 9.0610
Ag -2.0712 -1.9750 4.7617
Ag -3.7935 0.3787 10.9618
Ag -2.7696 4.0212 3.4892
Ag -5.2356 -0.3668 5.1120
Ag -1.9818 5.0992 9.4113
Ag -3.0849 -0.8099 8.4151
Ag -0.9681 3.9341 5.7579
Ag 1.9283 1.4211 10.8947
Ag -0.3067 -1.1807 2.6502
O 1.2467 1.4432 4.6364
O 0.3749 -1.2028 8.9084
O 0.2665 5.7284 8.6732
O -4.3195 -2.6042 5.4998
O -0.8797 -3.4758 8.0105
O 2.5013 3.7162 5.5344
O -1.1042 2.7760 9.8449
O -2.9487 0.3483 4.3282
O -1.3513 0.8805 2.1954
O -0.2413 0.9933 11.7052
O 0.5074 2.5557 6.9702
O -1.3462 -1.0649 6.8470
O -2.7017 2.2437 11.9776
O -3.8117 2.1310 2.4678
O -4.5604 0.5686 7.2028
O -2.7067 4.1891 7.3260
```

Values from the calculation:
corrected total energy (MP2020 scheme)	-202.99	eV for the cell shown



Entry 7:
Below is a relaxed Na6Nb4Zn8Si3S15O72 crystal, with properties calculated at the GGA-PBE level.

Geometry as extended XYZ:
```
108
Lattice="-4.9645 -3.1909 -6.5420 8.3483 2.2617 -1.5395 6.7309 -21.0434 5.2868" Properties=species:S:1:pos:R:3 pbc="T T T"
Na 6.6288 -11.2751 -5.3756
Na 6.8279 -20.9949 5.2262
Na 5.0024 -18.7489 -0.5076
Na 1.6806 -8.2967 -3.1664
Na 4.9719 -3.0315 -2.3272
Na 8.3158 -13.2988 0.2071
Nb 6.0500 -22.0354 0.2528
Nb 2.6446 -11.4325 -2.3956
Nb 6.1242 -6.2255 -1.5140
Nb 9.3690 -16.6399 1.1771
Zn 5.7479 -8.3554 -6.0909
Zn 0.8652 -21.0417 -2.0570
Zn 7.7029 -14.4427 -4.6554
Zn 4.4314 -4.1934 -7.2540
Zn 4.0174 -15.6302 -1.2963
Zn 0.7216 -5.3000 -3.8870
Zn 3.9593 0.0680 -3.0601
Zn 7.4731 -10.3402 -0.5575
Si 9.0271 -18.6862 4.0184
Si 7.6726 -8.7335 -3.3862
Si 8.2730 -7.4860 0.8801
S 0.2298 -6.1811 -0.6070
S 4.0441 -5.8773 -4.3580
S 4.1253 -4.5769 0.8564
S 5.9975 -16.0742 1.5742
S 6.0475 -17.3771 -3.6313
S 1.5628 -18.0282 -0.6547
S 1.9412 -14.6318 -3.7134
S 2.4489 -13.4223 0.6049
S 5.8601 -13.0242 -2.2167
S 1.0709 -3.4483 -6.8048
S -2.4307 -3.8205 -3.9541
S 1.4870 -2.2333 -2.5131
S 8.6444 -19.8036 -0.2618
S 12.5215 -18.2167 1.2041
S 4.2986 -9.0186 -0.5496
O 1.1443 -6.9657 0.1895
O 4.5843 -7.1166 -4.8895
O -1.2636 -9.0453 -5.1447
O 5.9334 -17.1773 2.5257
O 7.1677 -18.2773 -3.3845
O 1.5897 -19.4366 -1.0549
O 8.9117 -14.9625 -2.8948
O 5.5927 -14.7807 2.1030
O 11.3646 -12.9301 2.2650
O 4.1675 -4.7279 -5.2903
O 3.0049 -3.6607 0.5231
O 8.4724 -2.4985 -1.7393
O 2.8841 -15.4534 -2.9319
O 3.0118 -14.7046 0.1246
O 5.4899 -14.3567 -1.6880
O 0.9407 -4.4850 -5.7928
O -1.2677 -4.6495 -3.6809
O 1.4441 -3.6334 -2.9299
O 0.5298 -1.4270 -3.4328
O 0.4012 -2.1441 -6.1989
O -1.8991 -2.4438 -4.5322
O 2.5268 -12.3806 -0.4854
O 4.6162 -12.1875 -2.4382
O 2.0306 -13.1762 -3.2258
O 9.6073 -20.6204 0.4551
O 9.6522 -20.0102 3.4543
O 12.1366 -19.5171 1.7206
O 7.5035 -9.9329 -2.3952
O 5.4108 -9.8886 -0.2282
O 8.2250 -9.0117 0.5393
O 7.0616 -6.5912 0.0439
O 7.1181 -7.2688 -2.6781
O 4.7616 -7.7191 -1.2145
O 9.2431 -17.4369 2.8600
O 11.3028 -17.3809 0.8477
O 8.6505 -18.3781 0.2416
O 9.6643 -6.7786 0.7146
O -1.2623 -11.2192 -3.2880
O 3.4880 -8.7166 0.6040
O 7.5232 -18.8071 4.5056
O 13.3789 -17.5009 2.1324
O 8.8714 -19.8556 -1.6957
O 0.5378 -15.0124 -3.4712
O 3.2359 -12.8919 1.7404
O 6.4993 -13.1477 -3.5470
O 2.4484 -3.0396 -7.0901
O -3.3019 -4.3329 -5.0130
O 0.9933 -2.0231 -1.1442
O 2.9371 -17.4893 -0.7268
O 5.3505 -16.4698 0.3159
O 5.2158 -17.2391 -2.4267
O 2.6360 -6.1171 -3.9522
O 0.1241 -7.1306 -4.7478
O 0.5495 -6.3275 -2.0463
O 7.2218 -20.2848 0.0082
O 5.0291 -21.3734 -1.2022
O 4.8978 -20.6494 1.4144
O 0.9758 -10.6503 -2.0598
O 3.4301 -9.6381 -1.6279
O 2.7619 -10.5584 -4.0537
O 2.8570 -1.7305 -2.7124
O 5.2928 -0.6243 -1.4676
O 5.2031 -1.2545 -4.2508
O 9.4022 -11.4208 -0.5614
O 6.7335 -12.3879 -1.2283
O 7.2703 -11.5292 1.4199
O 7.1297 -4.4544 -1.9783
O 4.8034 -5.4605 -3.1017
O 4.8554 -4.7888 -0.4702
O 7.5269 -15.8932 1.1848
O 10.0780 -14.9169 1.8547
O 9.5174 -15.7412 -0.6968
```

Values from the calculation:
corrected total energy (MP2020 scheme)	-724.45	eV for the cell shown